Here is an optimized crystal structure of K2H2C2S2N2O from the Materials Project database. Energies are from PBE.

Geometry as POSCAR:
```
K2H2C2S2N2O
1.0
10.361 0.000 0.000
0.000 8.118 0.000
0.000 0.000 9.880
K H C S N O
8 8 8 8 8 4
Cartesian
1.719 0.009 2.307
1.719 4.050 2.307
3.462 4.068 7.247
3.462 8.109 7.247
6.899 0.009 2.633
6.899 4.050 2.633
8.643 4.068 7.573
8.643 8.109 7.573
0.054 6.089 0.092
0.466 2.030 8.285
4.714 6.089 3.345
5.127 2.030 5.032
5.235 6.089 4.848
5.647 2.030 6.535
9.895 6.089 1.595
10.307 2.030 9.788
0.694 6.089 6.057
0.932 2.030 5.495
4.249 6.089 0.555
4.486 2.030 1.117
5.875 6.089 8.763
6.113 2.030 9.325
9.429 6.089 4.385
9.667 2.030 3.823
0.967 6.089 7.760
2.029 6.089 4.969
3.152 2.030 0.029
4.214 2.030 2.820
6.148 6.089 7.060
7.210 6.089 9.851
8.332 2.030 4.911
9.394 2.030 2.120
0.602 2.030 4.241
1.361 2.030 6.605
3.819 6.089 1.665
4.578 6.089 9.181
5.783 2.030 0.699
6.542 2.030 8.215
9.000 6.089 3.275
9.759 6.089 5.639
0.345 6.089 1.029
4.836 2.030 5.969
5.525 6.089 3.911
10.017 2.030 8.851
```

Values from the calculation:
* mass density: 1.7 g cm⁻³
* formation energy: -705 meV/atom
* symmetry: Pnma, No. 62
* total moment: 0.00 μB/atom

=====

Here is an optimized crystal structure of K2UH4C5N2O12 from the Materials Project database. Energies are from PBE.

Geometry as POSCAR:
```
K2UH4C5N2O12
1.0
8.903 0.000 0.000
0.000 6.883 0.000
-2.490 0.000 24.323
K U H C N O
8 4 16 20 8 48
Cartesian
-0.853 0.887 9.317
-2.098 2.554 21.479
3.311 1.145 9.968
2.066 2.296 22.129
4.347 4.586 2.194
3.103 5.738 14.355
8.511 4.329 2.844
7.266 5.995 15.006
2.216 0.992 3.408
0.972 2.449 15.569
5.442 4.434 8.754
4.197 5.891 20.915
0.147 4.500 8.247
-1.098 5.825 20.408
1.326 4.614 6.176
0.081 5.711 18.338
1.054 4.030 9.683
-0.191 6.295 21.844
3.064 4.233 6.183
1.819 6.092 18.345
4.594 0.791 5.978
3.349 2.650 18.140
6.605 0.588 2.479
5.360 2.853 14.640
6.332 1.172 5.985
5.088 2.269 18.147
7.511 1.058 3.915
6.267 2.383 16.076
0.497 1.573 0.641
-0.747 1.868 12.802
0.201 1.374 5.969
-1.044 2.068 18.131
1.964 1.213 0.127
0.719 2.229 12.289
1.550 0.962 6.628
0.305 2.480 18.790
2.160 4.093 7.988
0.915 6.231 20.149
5.498 0.652 4.174
4.253 2.790 16.335
6.109 4.403 5.533
4.864 5.921 17.695
5.694 4.654 12.034
4.450 5.670 24.196
7.458 4.815 6.192
6.213 5.509 18.354
7.161 5.014 11.521
5.916 5.310 23.682
1.032 4.225 8.687
-0.213 6.099 20.848
2.169 4.290 6.664
0.924 6.035 18.825
5.490 0.848 5.498
4.245 2.593 17.659
6.626 0.784 3.475
5.381 2.658 15.636
-0.428 4.992 5.500
-1.673 5.332 17.662
0.394 5.092 0.199
-0.850 5.232 12.361
0.403 1.621 1.918
-0.842 1.820 14.079
0.263 1.493 4.682
-0.982 1.948 16.844
0.502 4.208 15.442
1.747 6.117 3.280
-0.272 1.239 23.235
0.973 2.203 11.073
1.617 0.814 7.859
0.372 2.628 20.021
2.769 0.953 1.089
1.524 2.489 13.250
0.581 4.473 23.893
1.826 5.851 11.732
1.455 0.691 15.634
2.700 2.750 3.472
2.504 0.801 5.772
1.259 2.640 17.934
3.246 3.739 8.598
2.001 6.585 20.759
4.412 0.297 3.564
3.167 3.144 15.725
5.154 4.242 6.389
3.909 6.082 18.551
3.713 4.133 20.851
4.958 6.192 8.689
4.588 1.032 12.591
5.833 2.409 0.430
4.890 4.394 11.073
3.645 5.930 23.234
6.041 4.255 4.302
4.796 6.069 16.464
5.441 4.680 13.250
6.686 5.644 1.088
4.666 0.766 21.043
5.911 2.675 8.881
7.395 4.935 7.479
6.151 5.390 19.641
7.256 5.063 10.244
6.011 5.262 22.405
7.264 1.650 11.962
6.019 1.791 24.123
8.086 1.551 6.661
6.841 1.891 18.823
```

Values from the calculation:
* mass density: 2.7 g cm⁻³
* formation energy: -1574 meV/atom
* symmetry: P2_1/c, No. 14
* total moment: 0.04 μB/atom

=====

Here is an optimized crystal structure of KHCS2N from the Materials Project database. Energies are from PBE.

Geometry as POSCAR:
```
KHCS2N
1.0
13.081 0.000 0.000
0.000 6.744 0.000
0.000 0.000 10.971
K H C S N
8 8 8 16 8
Cartesian
1.849 1.386 0.598
1.849 5.358 6.084
4.691 1.986 6.084
4.691 4.758 0.598
8.389 1.986 10.372
8.389 4.758 4.887
11.232 1.386 4.887
11.232 5.358 10.372
0.318 3.250 9.587
0.318 3.494 4.102
6.223 0.122 4.102
6.223 6.622 9.587
6.858 0.122 1.384
6.858 6.622 6.869
12.763 3.250 6.869
12.763 3.494 1.384
1.255 1.926 7.171
1.255 4.818 1.685
5.286 1.446 1.685
5.286 5.298 7.171
7.795 1.446 3.800
7.795 5.298 9.285
11.826 1.926 9.285
11.826 4.818 3.800
1.530 1.922 5.465
1.530 4.823 10.950
2.154 1.002 8.258
2.154 5.743 2.773
4.387 2.370 2.773
4.387 4.374 8.258
5.010 1.451 10.950
5.010 5.294 5.465
8.071 1.451 5.506
8.071 5.294 0.020
8.694 2.370 2.713
8.694 4.374 8.198
10.927 1.002 8.198
10.927 5.743 2.713
11.550 1.922 0.020
11.550 4.823 5.506
0.250 2.769 7.585
0.250 3.976 2.100
6.290 0.604 2.100
6.290 6.141 7.585
6.790 0.604 3.386
6.790 6.141 8.871
12.831 2.769 8.871
12.831 3.976 3.386
```

Values from the calculation:
* mass density: 1.8 g cm⁻³
* formation energy: -511 meV/atom
* symmetry: Pbcn, No. 60
* total moment: 0.00 μB/atom

=====

Here is an optimized crystal structure of K2NaZn2H5C4O14 from the Materials Project database. Energies are from PBE.

Geometry as POSCAR:
```
K2NaZn2H5C4O14
1.0
5.219 0.000 0.000
0.000 11.154 0.000
-4.663 0.000 10.660
K Na Zn H C O
4 2 4 10 8 28
Cartesian
-0.148 1.844 0.809
-2.480 3.733 6.139
3.035 7.421 4.521
0.704 9.310 9.851
-2.332 0.000 5.330
0.000 5.577 0.000
-2.006 6.728 8.472
0.326 10.002 3.142
0.230 1.151 7.518
2.562 4.425 2.188
-0.553 7.712 1.966
-2.884 9.019 7.296
0.923 7.458 2.470
-1.408 9.273 7.800
2.609 0.000 0.000
0.278 5.577 5.330
1.964 1.881 2.860
-0.368 3.696 8.190
3.440 2.135 3.364
1.108 3.442 8.695
-2.311 0.838 8.741
0.021 4.739 3.411
0.206 1.422 4.630
-2.126 4.155 9.960
2.681 6.999 0.700
0.350 9.732 6.030
0.535 6.415 7.249
2.866 10.316 1.919
-3.586 0.692 8.921
-1.254 4.885 3.590
-0.992 1.866 4.775
-3.324 3.711 10.105
0.074 7.920 2.738
-2.258 8.811 8.068
-1.814 1.286 7.637
0.518 4.290 2.307
-2.793 6.916 10.334
-0.461 9.815 5.003
0.643 1.027 3.462
-1.688 4.550 8.792
-0.289 6.091 6.276
2.043 10.639 0.946
-1.487 0.514 9.714
0.844 5.062 4.384
2.244 6.604 1.868
-0.088 10.127 7.199
1.016 1.339 5.657
3.348 4.238 0.327
0.038 6.863 8.353
2.369 9.867 3.023
2.813 2.343 2.592
0.482 3.234 7.922
3.879 7.443 0.555
1.547 9.288 5.885
1.810 6.269 7.070
4.141 10.462 1.740
```

Values from the calculation:
* mass density: 2.7 g cm⁻³
* formation energy: -1799 meV/atom
* symmetry: P2_1/c, No. 14
* total moment: 0.00 μB/atom

=====

Here is an optimized crystal structure of K3NdH6C6O15 from the Materials Project database. Energies are from PBE.

Geometry as POSCAR:
```
K3NdH6C6O15
1.0
8.664 0.000 0.000
-0.979 9.397 0.000
-0.240 -1.468 9.833
K Nd H C O
6 2 12 12 30
Cartesian
-0.020 2.405 3.799
2.339 1.147 1.105
2.181 6.996 2.986
5.264 0.934 6.847
5.106 6.782 8.729
7.465 5.524 6.035
1.443 2.217 7.661
6.002 5.712 2.172
0.206 6.641 9.491
2.089 0.269 5.172
1.406 5.696 9.769
2.851 1.599 4.886
3.093 -1.126 7.814
2.675 7.290 6.742
4.770 0.639 3.091
4.352 9.055 2.019
4.594 6.330 4.948
6.039 2.233 0.064
5.356 7.660 4.661
7.239 1.288 0.342
-0.176 4.227 0.537
-0.676 8.215 3.136
0.415 -0.946 7.746
2.084 4.900 5.926
3.522 5.409 0.014
3.521 4.471 6.401
3.924 3.458 3.432
3.923 2.520 9.819
5.361 3.029 3.907
7.030 8.875 2.088
8.121 -0.286 6.697
7.621 3.702 9.296
-0.844 6.962 3.339
-0.601 3.591 8.110
-0.817 7.281 8.132
0.724 3.426 0.151
1.172 -0.448 3.672
1.403 -0.230 8.134
1.197 3.969 5.922
1.092 7.856 0.367
1.873 6.095 5.604
2.541 1.011 5.636
2.226 4.120 9.175
2.980 2.624 3.522
3.347 1.626 9.125
2.957 7.913 7.458
3.614 3.288 6.858
3.831 4.641 2.975
4.488 0.016 2.376
4.098 6.304 0.708
4.465 5.305 6.311
5.219 3.809 0.658
4.904 6.918 4.197
5.572 1.835 4.229
6.353 0.073 9.466
6.248 3.960 3.911
6.042 8.159 1.699
6.273 8.377 6.161
6.721 4.503 9.682
8.262 0.648 1.701
8.046 4.338 1.724
8.289 0.967 6.494
```

Values from the calculation:
* mass density: 2.4 g cm⁻³
* formation energy: -1837 meV/atom
* symmetry: P-1, No. 2
* total moment: 0.00 μB/atom

=====

Here is an optimized crystal structure of KHCO3 from the Materials Project database. Energies are from PBE.

Geometry as POSCAR:
```
KHCO3
1.0
3.781 0.000 0.000
0.002 5.710 0.000
1.766 2.736 7.403
K H C O
2 2 2 6
Cartesian
0.432 1.426 1.258
5.117 7.019 6.146
2.655 5.278 3.446
2.894 3.168 3.958
1.914 4.208 1.941
3.634 4.237 5.463
1.301 4.279 0.835
2.232 5.406 2.515
2.250 3.131 2.545
3.298 5.315 4.858
3.317 3.039 4.889
4.248 4.167 6.568
```

Values from the calculation:
* mass density: 2.1 g cm⁻³
* formation energy: -1885 meV/atom
* symmetry: P-1, No. 2
* total moment: 0.00 μB/atom

=====

Here is an optimized crystal structure of KHCO3 from the Materials Project database. Energies are from PBE.

Geometry as POSCAR:
```
KHCO3
1.0
4.417 0.000 0.000
-0.442 5.613 0.000
-1.792 -2.519 6.306
K H C O
2 2 2 6
Cartesian
0.411 1.523 1.233
1.772 1.571 5.073
-0.917 -0.311 3.618
3.100 3.406 2.688
0.433 -1.420 4.582
1.750 4.514 1.724
-0.261 -0.254 4.416
-0.322 3.188 3.841
0.855 4.506 0.840
1.329 -1.412 5.466
2.505 -0.094 2.465
2.444 3.348 1.890
```

Values from the calculation:
* mass density: 2.1 g cm⁻³
* formation energy: -1871 meV/atom
* symmetry: P-1, No. 2

=====

Here is an optimized crystal structure of KHCO3 from the Materials Project database. Energies are from PBE.

Geometry as POSCAR:
```
KHCO3
1.0
4.499 -3.317 0.000
4.499 3.317 0.000
-3.367 0.000 10.524
K H C O
4 4 4 12
Cartesian
0.331 2.271 9.089
3.616 2.271 6.698
2.014 -2.271 3.827
5.299 -2.271 1.436
3.151 0.649 3.729
4.163 0.649 1.534
1.467 -0.649 8.991
2.479 -0.649 6.796
0.948 1.210 4.732
-0.736 -1.210 9.994
6.366 1.210 0.530
4.682 -1.210 5.792
2.095 1.646 4.364
0.394 0.158 4.316
-1.290 -0.158 9.578
5.219 1.646 0.898
1.788 0.006 7.182
3.472 -0.006 1.920
2.158 0.006 8.605
3.842 -0.006 3.343
0.411 -1.646 9.626
6.920 0.158 0.947
5.236 -0.158 6.209
3.535 -1.646 6.160
```

Values from the calculation:
* mass density: 2.1 g cm⁻³
* formation energy: -1322 meV/atom
* symmetry: C2/c, No. 15
* total moment: 0.00 μB/atom

=====

Here is an optimized crystal structure of KHCO3 from the Materials Project database. Energies are from PBE.

Geometry as POSCAR:
```
KHCO3
1.0
3.771 0.000 0.000
0.000 5.720 0.000
-3.508 0.000 14.769
K H C O
4 4 4 12
Cartesian
-0.443 0.131 2.435
-2.196 2.729 9.819
2.460 2.991 4.950
0.706 5.589 12.334
1.783 3.943 0.195
0.029 4.637 7.580
0.235 1.083 7.189
-1.519 1.777 14.574
1.036 2.943 1.752
-0.718 5.637 9.137
0.982 0.083 5.632
-0.772 2.777 13.017
0.425 3.049 2.852
-1.329 5.530 10.236
1.355 4.111 1.125
-0.399 4.469 8.509
-0.382 1.026 8.582
1.372 1.834 1.197
-1.108 3.886 13.572
0.646 4.694 6.187
0.662 1.251 6.260
-1.092 1.609 13.644
1.593 0.189 4.533
-0.161 2.670 11.917
```

Values from the calculation:
* mass density: 2.1 g cm⁻³
* formation energy: -1886 meV/atom
* symmetry: P2_1/c, No. 14